This record from the Materials Project describes crystalline Na2SrAl4Si4O16 at its relaxed geometry. The functional is r2SCAN.

Lattice parameters (Å, degrees): 10.5896 10.5896 10.5896 133.33 124.46 75.40
Last column: nearest neighbours and their distance in Å.
Atoms (fractional coordinates):
Al 0.8713 0.6324 0.3773  4 O 1.72-1.76
Al 0.3713 0.9941 0.2389  4 O 1.72-1.76
Al 0.3583 0.5866 0.3229  4 O 1.73-1.76
Al 0.2637 0.0354 0.6771  4 O 1.73-1.76
Al 0.7551 0.1324 0.7611  4 O 1.72-1.76
Al 0.8583 0.5354 0.7717  4 O 1.73-1.76
Al 0.7637 0.0866 0.2283  4 O 1.73-1.76
Al 0.2551 0.4941 0.6227  4 O 1.72-1.76
Si 0.4457 0.2359 0.6855  4 O 1.61-1.63
Si 0.9457 0.2602 0.2098  4 O 1.61-1.63
Si 0.5504 0.7602 0.3145  4 O 1.61-1.63
Si 0.0462 0.6701 0.2245  4 O 1.61-1.63
Si 0.0504 0.7359 0.7902  4 O 1.61-1.63
Si 0.9455 0.1701 0.6239  4 O 1.61-1.63
Si 0.4455 0.8217 0.7755  4 O 1.61-1.63
Si 0.5462 0.3217 0.3761  4 O 1.61-1.63
O 0.4559 0.7576 0.5922  1 Si 1.62, 1 Al 1.73
O 0.8879 0.1447 0.9705  1 Si 1.63, 1 Al 1.76
O 0.9816 0.7856 0.6506  1 Si 1.63, 1 Al 1.75
O 0.9559 0.3637 0.6983  1 Si 1.62, 1 Al 1.73
O 0.9119 0.6930 0.7890  1 Si 1.63, 1 Al 1.76
O 0.4119 0.6229 0.2189  1 Si 1.63, 1 Al 1.76
O 0.6275 0.8932 0.9729  1 Si 1.63, 1 Al 1.75
O 0.4395 0.1606 0.2842  1 Si 1.61, 1 Al 1.72
O 0.6741 0.6447 0.2568  1 Si 1.63, 1 Al 1.76
O 0.1531 0.5221 0.1793  1 Si 1.63, 1 Al 1.76
O 0.3765 0.6606 0.7211  1 Si 1.61, 1 Al 1.72
O 0.6531 0.4738 0.6310  1 Si 1.63, 1 Al 1.76
O 0.4040 0.1930 0.7811  1 Si 1.63, 1 Al 1.76
O 0.8765 0.1553 0.7158  1 Si 1.61, 1 Al 1.72
O 0.6350 0.2856 0.8040  1 Si 1.63, 1 Al 1.75
O 0.3879 0.4174 0.7432  1 Si 1.63, 1 Al 1.76
O 0.4816 0.8310 0.1960  1 Si 1.63, 1 Al 1.75
O 0.8428 0.0221 0.3690  1 Si 1.63, 1 Al 1.76
O 0.3533 0.0735 0.4353  1 Si 1.61, 1 Al 1.74
O 0.1741 0.9174 0.0295  1 Si 1.63, 1 Al 1.76
O 0.1382 0.5735 0.7202  1 Si 1.61, 1 Al 1.74
O 0.9040 0.1229 0.2110  1 Si 1.63, 1 Al 1.76
O 0.9395 0.6553 0.2789  1 Si 1.61, 1 Al 1.72
O 0.1350 0.3310 0.3494  1 Si 1.63, 1 Al 1.75
O 0.1275 0.1546 0.7344  1 Si 1.63, 1 Al 1.75
O 0.9202 0.6546 0.0271  1 Si 1.63, 1 Al 1.75
O 0.1655 0.8637 0.4078  1 Si 1.62, 1 Al 1.73
O 0.4202 0.3932 0.2656  1 Si 1.63, 1 Al 1.75
O 0.8533 0.4180 0.2798  1 Si 1.61, 1 Al 1.74
O 0.3428 0.9738 0.8207  1 Si 1.63, 1 Al 1.76
O 0.6382 0.9180 0.5647  1 Si 1.61, 1 Al 1.74
O 0.6655 0.2576 0.3017  1 Si 1.62, 1 Al 1.73
Na 0.2271 0.4418 0.8601  5 O 2.33-2.57
Na 0.5817 0.3669 0.1399  5 O 2.33-2.57
Na 0.7271 0.8669 0.7852  5 O 2.33-2.57
Na 0.0817 0.9418 0.2148  5 O 2.33-2.57
Sr 0.6540 0.6540 0.0000  10 O 2.67-2.94
Sr 0.1540 0.1540 0.0000  10 O 2.67-2.94

space-group type: No. 45
ΔH_f (0 K): -3.152 eV per atom